Record 1
Material: NaTi2Ge2P5SO24
Method: DFT, PBE
State: optimized geometry

```
NaTi2Ge2P5SO24
1.0
8.457 -0.004 0.013
-4.232 7.336 -0.002
0.033 0.013 22.005
Na Ti Ge P S O
3 6 6 15 3 72
direct
0.669 0.336 0.834 Na
0.667 0.334 0.331 Na
0.333 0.667 0.167 Na
0.992 0.000 0.858 Ti
0.005 0.999 0.647 Ti
0.662 0.326 0.689 Ti
0.658 0.328 0.475 Ti
0.333 0.672 0.518 Ti
0.330 0.658 0.810 Ti
0.001 0.000 0.353 Ge
0.000 0.000 0.145 Ge
0.667 0.333 0.186 Ge
0.673 0.340 0.984 Ge
0.336 0.661 0.023 Ge
0.333 0.666 0.312 Ge
0.286 0.000 0.250 P
0.714 0.714 0.250 P
0.000 0.286 0.250 P
0.285 0.285 0.751 P
0.000 0.712 0.751 P
0.712 0.997 0.750 P
0.378 0.044 0.583 P
0.956 0.624 0.084 P
0.668 0.046 0.083 P
0.378 0.330 0.084 P
0.617 0.660 0.919 P
0.044 0.382 0.919 P
0.625 0.951 0.414 P
0.325 0.376 0.414 P
0.047 0.673 0.414 P
0.955 0.333 0.583 S
0.666 0.622 0.583 S
0.336 0.956 0.918 S
0.207 0.038 0.308 O
0.831 0.793 0.308 O
0.962 0.169 0.308 O
0.204 0.167 0.807 O
0.964 0.797 0.807 O
0.832 0.037 0.806 O
0.798 0.968 0.693 O
0.170 0.203 0.693 O
0.032 0.830 0.693 O
0.795 0.832 0.192 O
0.038 0.205 0.192 O
0.168 0.962 0.192 O
0.874 0.366 0.638 O
0.499 0.133 0.639 O
0.636 0.508 0.638 O
0.874 0.500 0.141 O
0.626 0.127 0.140 O
0.501 0.373 0.141 O
0.461 0.296 0.026 O
0.838 0.544 0.026 O
0.703 0.164 0.025 O
0.468 0.167 0.527 O
0.700 0.541 0.529 O
0.841 0.302 0.529 O
0.536 0.703 0.975 O
0.166 0.466 0.975 O
0.300 0.842 0.973 O
0.538 0.836 0.472 O
0.299 0.463 0.473 O
0.164 0.701 0.472 O
0.129 0.628 0.358 O
0.499 0.871 0.358 O
0.372 0.502 0.358 O
0.127 0.499 0.862 O
0.370 0.878 0.863 O
0.501 0.630 0.862 O
0.027 0.840 0.407 O
0.814 0.973 0.407 O
0.160 0.187 0.407 O
0.026 0.194 0.909 O
0.174 0.975 0.910 O
0.806 0.829 0.909 O
0.972 0.169 0.591 O
0.190 0.026 0.592 O
0.829 0.803 0.591 O
0.975 0.812 0.093 O
0.836 0.026 0.092 O
0.189 0.162 0.092 O
0.694 0.170 0.743 O
0.477 0.309 0.742 O
0.831 0.523 0.741 O
0.692 0.521 0.242 O
0.828 0.307 0.242 O
0.479 0.172 0.242 O
0.638 0.489 0.925 O
0.849 0.358 0.925 O
0.502 0.141 0.924 O
0.643 0.141 0.424 O
0.499 0.360 0.424 O
0.859 0.501 0.425 O
0.360 0.503 0.076 O
0.148 0.643 0.075 O
0.494 0.855 0.075 O
0.359 0.856 0.575 O
0.502 0.639 0.576 O
0.137 0.496 0.576 O
0.307 0.829 0.257 O
0.521 0.693 0.258 O
0.171 0.478 0.257 O
0.307 0.474 0.758 O
0.169 0.694 0.759 O
0.523 0.833 0.760 O
```

symmetry = P1
formation energy = -60.53 kcal/mol of atoms
spin magnetization = 0.0 Bohr magnetons per cell

***

Record 2
Material: Na2ZnGe3P4S2O24
Method: DFT, PBE
State: optimized geometry

```
Na2ZnGe3P4S2O24
1.0
8.439 0.004 0.014
-4.216 7.321 0.012
0.034 0.057 21.954
Na Zn Ge P S O
6 3 9 12 6 72
direct
0.000 0.995 0.504 Na
0.005 0.999 0.002 Na
0.664 0.330 0.832 Na
0.668 0.333 0.337 Na
0.330 0.663 0.169 Na
0.341 0.669 0.666 Na
0.999 0.999 0.647 Zn
0.007 0.999 0.144 Zn
0.334 0.669 0.322 Zn
0.002 0.001 0.359 Ge
0.002 0.009 0.852 Ge
0.645 0.318 0.685 Ge
0.670 0.344 0.184 Ge
0.665 0.338 0.977 Ge
0.661 0.336 0.480 Ge
0.326 0.658 0.018 Ge
0.342 0.673 0.517 Ge
0.340 0.668 0.816 Ge
0.289 0.293 0.750 P
0.709 0.001 0.750 P
0.379 0.041 0.581 P
0.662 0.616 0.582 P
0.954 0.616 0.080 P
0.384 0.339 0.081 P
0.623 0.671 0.917 P
0.045 0.379 0.916 P
0.332 0.953 0.917 P
0.626 0.963 0.416 P
0.335 0.378 0.417 P
0.041 0.663 0.417 P
0.295 0.003 0.249 S
0.710 0.710 0.249 S
0.997 0.290 0.248 S
0.001 0.707 0.752 S
0.954 0.339 0.582 S
0.661 0.045 0.082 S
0.215 0.039 0.306 O
0.825 0.788 0.305 O
0.961 0.175 0.305 O
0.210 0.171 0.809 O
0.964 0.786 0.808 O
0.827 0.039 0.809 O
0.780 0.958 0.694 O
0.179 0.220 0.694 O
0.038 0.815 0.697 O
0.793 0.815 0.194 O
0.019 0.207 0.193 O
0.190 0.978 0.194 O
0.874 0.372 0.639 O
0.498 0.116 0.640 O
0.625 0.496 0.642 O
0.877 0.496 0.140 O
0.625 0.123 0.138 O
0.502 0.377 0.140 O
0.470 0.303 0.024 O
0.836 0.525 0.024 O
0.692 0.159 0.026 O
0.472 0.162 0.525 O
0.695 0.529 0.526 O
0.842 0.311 0.527 O
0.541 0.709 0.975 O
0.163 0.455 0.974 O
0.294 0.833 0.975 O
0.547 0.838 0.474 O
0.293 0.459 0.474 O
0.165 0.705 0.474 O
0.105 0.623 0.359 O
0.519 0.898 0.359 O
0.375 0.483 0.358 O
0.127 0.501 0.860 O
0.371 0.871 0.860 O
0.502 0.628 0.861 O
0.021 0.838 0.411 O
0.819 0.980 0.410 O
0.160 0.183 0.411 O
0.026 0.188 0.910 O
0.160 0.971 0.909 O
0.815 0.840 0.909 O
0.973 0.178 0.586 O
0.194 0.026 0.586 O
0.828 0.804 0.587 O
0.970 0.801 0.085 O
0.822 0.026 0.087 O
0.195 0.175 0.085 O
0.692 0.177 0.744 O
0.485 0.315 0.746 O
0.836 0.522 0.746 O
0.699 0.522 0.245 O
0.820 0.300 0.244 O
0.482 0.178 0.244 O
0.642 0.497 0.923 O
0.852 0.357 0.924 O
0.505 0.144 0.924 O
0.655 0.156 0.428 O
0.501 0.350 0.426 O
0.848 0.496 0.428 O
0.377 0.520 0.075 O
0.146 0.631 0.075 O
0.491 0.864 0.077 O
0.367 0.851 0.575 O
0.481 0.623 0.576 O
0.136 0.510 0.577 O
0.321 0.846 0.255 O
0.527 0.682 0.255 O
0.153 0.472 0.254 O
0.311 0.485 0.761 O
0.167 0.688 0.761 O
0.513 0.833 0.761 O
```

symmetry = P1
formation energy = -51.88 kcal/mol of atoms
spin magnetization = 0.0 Bohr magnetons per cell

***

Record 3
Material: Na6Zn3GeP4S2O24
Method: DFT, PBE
State: optimized geometry

```
Na6Zn3GeP4S2O24
1.0
8.930 0.009 0.041
-4.457 7.724 -0.029
0.106 -0.026 21.797
Na Zn Ge P S O
18 9 3 12 6 72
direct
0.364 0.365 0.254 Na
0.646 0.641 0.745 Na
0.992 0.350 0.750 Na
0.292 0.341 0.584 Na
0.035 0.700 0.581 Na
0.669 0.956 0.581 Na
0.289 0.958 0.079 Na
0.663 0.699 0.082 Na
0.046 0.340 0.083 Na
0.321 0.295 0.912 Na
0.984 0.307 0.412 Na
0.691 0.677 0.412 Na
0.008 0.000 0.495 Na
0.992 0.985 0.992 Na
0.657 0.309 0.831 Na
0.665 0.316 0.330 Na
0.324 0.673 0.171 Na
0.338 0.672 0.666 Na
0.006 0.996 0.352 Zn
0.995 0.003 0.851 Zn
0.986 0.010 0.657 Zn
0.007 0.993 0.151 Zn
0.657 0.326 0.685 Zn
0.673 0.342 0.182 Zn
0.330 0.666 0.011 Zn
0.330 0.663 0.507 Zn
0.337 0.679 0.328 Zn
0.669 0.341 0.977 Ge
0.671 0.336 0.481 Ge
0.341 0.671 0.824 Ge
0.299 0.307 0.754 P
0.688 0.990 0.753 P
0.956 0.334 0.584 P
0.668 0.623 0.584 P
0.954 0.620 0.081 P
0.378 0.333 0.082 P
0.631 0.664 0.920 P
0.031 0.376 0.919 P
0.343 0.966 0.920 P
0.631 0.975 0.421 P
0.342 0.363 0.419 P
0.029 0.661 0.421 P
0.302 0.997 0.248 S
0.698 0.702 0.250 S
0.999 0.298 0.249 S
0.014 0.709 0.751 S
0.376 0.044 0.582 S
0.668 0.048 0.082 S
0.208 0.022 0.300 O
0.798 0.793 0.305 O
0.987 0.197 0.305 O
0.213 0.198 0.811 O
0.989 0.797 0.803 O
0.815 0.022 0.804 O
0.749 0.943 0.691 O
0.190 0.233 0.695 O
0.034 0.802 0.692 O
0.783 0.797 0.192 O
0.019 0.213 0.192 O
0.211 0.980 0.188 O
0.874 0.357 0.642 O
0.478 0.120 0.638 O
0.641 0.516 0.641 O
0.878 0.506 0.137 O
0.641 0.124 0.138 O
0.481 0.356 0.141 O
0.469 0.303 0.024 O
0.832 0.531 0.023 O
0.697 0.159 0.026 O
0.462 0.156 0.526 O
0.691 0.529 0.525 O
0.838 0.307 0.526 O
0.552 0.686 0.979 O
0.136 0.451 0.977 O
0.324 0.873 0.980 O
0.555 0.867 0.480 O
0.309 0.442 0.477 O
0.128 0.688 0.481 O
0.112 0.619 0.366 O
0.520 0.893 0.364 O
0.383 0.482 0.362 O
0.127 0.498 0.861 O
0.372 0.869 0.864 O
0.503 0.626 0.863 O
0.991 0.810 0.412 O
0.817 0.003 0.414 O
0.183 0.183 0.411 O
0.012 0.197 0.910 O
0.191 0.996 0.911 O
0.810 0.814 0.909 O
0.973 0.169 0.584 O
0.203 0.029 0.585 O
0.837 0.803 0.585 O
0.965 0.800 0.084 O
0.826 0.031 0.084 O
0.195 0.168 0.083 O
0.670 0.152 0.746 O
0.487 0.345 0.748 O
0.859 0.530 0.749 O
0.678 0.525 0.249 O
0.844 0.317 0.247 O
0.475 0.159 0.246 O
0.631 0.485 0.920 O
0.849 0.363 0.921 O
0.514 0.154 0.921 O
0.654 0.162 0.426 O
0.512 0.352 0.426 O
0.843 0.489 0.425 O
0.359 0.496 0.077 O
0.139 0.649 0.075 O
0.514 0.872 0.077 O
0.356 0.869 0.576 O
0.508 0.647 0.578 O
0.137 0.497 0.577 O
0.319 0.843 0.255 O
0.521 0.681 0.252 O
0.161 0.471 0.252 O
0.309 0.494 0.761 O
0.171 0.688 0.757 O
0.506 0.819 0.763 O
```

symmetry = P1
formation energy = -52.88 kcal/mol of atoms
spin magnetization = 0.0 Bohr magnetons per cell